(1)
A geometry-optimized K4LiC2O6 structure, computed with PBE.

* total energy: -5.758 eV/atom
* corrected total energy (MP2020 scheme): -6.0747 eV/atom
* DFT formation energy: -1.883 eV per atom

Cell lengths 5.537, 5.537, 10.135 Å; angles 90.00, 90.00, 120.00 degrees
Sites, in units of the cell vectors:
K1 0.667 0.333 0.750
K2 0.333 0.667 0.250
K3 0.000 0.000 0.431
K4 0.000 0.000 0.069
Li1 0.000 0.000 0.750
C1 0.333 0.667 0.750
C2 0.667 0.333 0.250
O1 0.606 0.803 0.750
O2 0.395 0.198 0.250
O3 0.802 0.605 0.250
O4 0.197 0.803 0.750
O5 0.197 0.394 0.750
O6 0.802 0.198 0.250

=====

(2)
A geometry-optimized Te2Mo2WSe4 structure, computed with PBE.

* total energy: -6.578 eV/atom
* corrected total energy (MP2020 scheme): -6.7878 eV/atom
* excess energy over the best structure of this formula in the dataset: 0 meV per atom
* DFT formation energy: -0.686 eV per atom

Cell lengths 3.398, 3.398, 31.418 Å; angles 90.00, 90.00, 120.00 degrees
Sites, in units of the cell vectors:
Te1 0.000 0.000 0.407
Te2 0.000 0.000 0.287
Mo1 0.000 0.000 0.116
Mo2 0.333 0.667 0.347
W1 0.000 0.000 0.578
Se1 0.333 0.667 0.063
Se2 0.333 0.667 0.526
Se3 0.333 0.667 0.168
Se4 0.333 0.667 0.631

=====

(3)
A geometry-optimized Ca2GaSn structure, computed with PBE.

* total energy: -3.345 eV/atom
* DFT formation energy: -0.583 eV per atom

Cell lengths 6.150, 6.150, 4.379 Å; angles 90.00, 90.00, 135.87 degrees
Sites, in units of the cell vectors:
Ca1 0.361 0.639 0.000
Ca2 0.637 0.363 0.500
Ga1 0.077 0.923 0.000
Sn1 0.925 0.075 0.500

=====

(4)
A geometry-optimized CeTlAu2 structure, computed with PBE.

* total energy: -4.231 eV/atom
* DFT formation energy: -0.520 eV per atom

Cell lengths 5.112, 5.112, 5.112 Å; angles 60.00, 60.00, 60.00 degrees
Sites, in units of the cell vectors:
Ce1 0.500 0.500 0.500
Tl1 0.000 0.000 0.000
Au1 0.250 0.250 0.250
Au2 0.750 0.750 0.750

=====

(5)
A geometry-optimized Ba2Y2CuPtO8 structure, computed with PBE.

* total energy: -7.019 eV/atom
* corrected total energy (MP2020 scheme): -7.4111 eV/atom
* DFT formation energy: -2.659 eV per atom

Cell lengths 5.750, 10.449, 13.381 Å; angles 90.00, 90.00, 90.00 degrees
Sites, in units of the cell vectors:
Ba1 0.750 0.186 0.293
Ba2 0.750 0.591 0.577
Ba3 0.250 0.409 0.423
Ba4 0.750 0.314 0.793
Ba5 0.250 0.686 0.207
Ba6 0.750 0.909 0.077
Ba7 0.250 0.814 0.707
Ba8 0.250 0.091 0.923
Y1 0.250 0.312 0.142
Y2 0.250 0.014 0.417
Y3 0.750 0.812 0.358
Y4 0.750 0.688 0.858
Y5 0.250 0.188 0.642
Y6 0.250 0.486 0.917
Y7 0.750 0.514 0.083
Y8 0.750 0.986 0.583
Cu1 0.750 0.232 0.039
Cu2 0.750 0.268 0.539
Cu3 0.250 0.768 0.961
Cu4 0.250 0.732 0.461
Pt1 0.750 0.532 0.307
Pt2 0.750 0.968 0.807
Pt3 0.250 0.032 0.193
Pt4 0.250 0.468 0.693
O1 0.007 0.637 0.993
O2 0.493 0.362 0.614
O3 0.750 0.814 0.704
O4 0.993 0.137 0.507
O5 0.507 0.862 0.886
O6 0.750 0.391 0.411
O7 0.007 0.138 0.114
O8 0.750 0.686 0.204
O9 0.509 0.443 0.217
O10 0.491 0.943 0.283
O11 0.993 0.363 0.007
O12 0.493 0.138 0.114
O13 0.250 0.314 0.796
O14 0.009 0.557 0.783
O15 0.507 0.363 0.007
O16 0.991 0.443 0.217
O17 0.250 0.609 0.589
O18 0.509 0.057 0.717
O19 0.007 0.362 0.614
O20 0.493 0.863 0.493
O21 0.009 0.943 0.283
O22 0.991 0.057 0.717
O23 0.993 0.638 0.386
O24 0.993 0.862 0.886
O25 0.507 0.137 0.507
O26 0.507 0.638 0.386
O27 0.491 0.557 0.783
O28 0.007 0.863 0.493
O29 0.750 0.109 0.911
O30 0.493 0.637 0.993
O31 0.250 0.186 0.296
O32 0.250 0.891 0.089

=====

(6)
A geometry-optimized TbBr3 structure, computed with PBE.

* total energy: -4.240 eV/atom
* corrected total energy (MP2020 scheme): -4.6403 eV/atom
* DFT formation energy: -2.254 eV per atom

Cell lengths 10.294, 10.294, 3.775 Å; angles 90.00, 90.00, 120.00 degrees
Sites, in units of the cell vectors:
Tb1 0.333 0.667 0.750
Tb2 0.667 0.333 0.250
Br1 0.214 0.427 0.250
Br2 0.573 0.786 0.250
Br3 0.214 0.786 0.250
Br4 0.786 0.573 0.750
Br5 0.427 0.214 0.750
Br6 0.786 0.214 0.750

=====

(7)
A geometry-optimized MnVAs2 structure, computed with PBE.

* total energy: -7.261 eV/atom
* DFT formation energy: -0.370 eV per atom

Cell lengths 3.417, 5.736, 6.210 Å; angles 90.00, 90.00, 90.00 degrees
Sites, in units of the cell vectors:
Mn1 0.750 0.496 0.688
Mn2 0.750 0.996 0.812
V1 0.250 0.504 0.305
V2 0.250 0.004 0.195
As1 0.750 0.303 0.075
As2 0.750 0.803 0.425
As3 0.250 0.697 0.918
As4 0.250 0.197 0.582

=====

(8)
A geometry-optimized Na2Nb3AlSi4S2O24 structure, computed with PBE.

* total energy: -7.484 eV/atom
* corrected total energy (MP2020 scheme): -7.9420 eV/atom
* DFT formation energy: -2.791 eV per atom

Cell lengths 8.790, 8.803, 22.769 Å; angles 89.61, 90.67, 119.84 degrees
Sites, in units of the cell vectors:
Na1 0.990 0.987 0.499
Na2 0.001 0.995 0.999
Na3 0.660 0.326 0.831
Na4 0.670 0.324 0.325
Na5 0.325 0.658 0.164
Na6 0.343 0.665 0.666
Nb1 0.998 0.002 0.353
Nb2 0.005 0.017 0.856
Nb3 0.985 0.996 0.647
Nb4 0.022 0.011 0.142
Nb5 0.662 0.344 0.976
Nb6 0.679 0.345 0.477
Nb7 0.322 0.657 0.022
Nb8 0.320 0.677 0.310
Nb9 0.343 0.666 0.812
Al1 0.646 0.333 0.690
Al2 0.672 0.333 0.187
Al3 0.357 0.688 0.519
Si1 0.304 0.021 0.249
Si2 0.990 0.289 0.247
Si3 0.295 0.291 0.748
Si4 0.705 0.015 0.749
Si5 0.651 0.612 0.586
Si6 0.945 0.612 0.088
Si7 0.397 0.343 0.088
Si8 0.624 0.674 0.919
Si9 0.043 0.384 0.915
Si10 0.335 0.952 0.916
Si11 0.618 0.950 0.419
Si12 0.062 0.676 0.423
S1 0.710 0.707 0.249
S2 0.993 0.705 0.749
S3 0.958 0.341 0.585
S4 0.381 0.044 0.584
S5 0.665 0.048 0.086
S6 0.332 0.383 0.419
O1 0.196 0.028 0.307
O2 0.820 0.793 0.304
O3 0.970 0.167 0.306
O4 0.197 0.167 0.806
O5 0.968 0.785 0.801
O6 0.831 0.032 0.805
O7 0.800 0.971 0.692
O8 0.165 0.187 0.691
O9 0.022 0.820 0.695
O10 0.787 0.818 0.198
O11 0.022 0.189 0.193
O12 0.169 0.969 0.193
O13 0.873 0.359 0.636
O14 0.489 0.125 0.637
O15 0.641 0.492 0.641
O16 0.858 0.492 0.144
O17 0.641 0.128 0.138
O18 0.508 0.359 0.145
O19 0.470 0.303 0.027
O20 0.833 0.525 0.027
O21 0.694 0.151 0.031
O22 0.462 0.152 0.531
O23 0.687 0.520 0.527
O24 0.847 0.306 0.530
O25 0.533 0.701 0.976
O26 0.165 0.466 0.975
O27 0.303 0.832 0.975
O28 0.536 0.832 0.476
O29 0.307 0.461 0.471
O30 0.177 0.688 0.479
O31 0.135 0.635 0.361
O32 0.499 0.858 0.360
O33 0.362 0.484 0.364
O34 0.134 0.501 0.857
O35 0.363 0.861 0.858
O36 0.502 0.635 0.859
O37 0.029 0.841 0.411
O38 0.816 0.980 0.408
O39 0.175 0.203 0.413
O40 0.029 0.192 0.911
O41 0.160 0.970 0.907
O42 0.817 0.839 0.908
O43 0.974 0.176 0.588
O44 0.203 0.026 0.589
O45 0.835 0.810 0.591
O46 0.962 0.809 0.092
O47 0.822 0.024 0.091
O48 0.192 0.169 0.090
O49 0.699 0.190 0.734
O50 0.486 0.312 0.742
O51 0.840 0.532 0.740
O52 0.697 0.536 0.246
O53 0.823 0.314 0.241
O54 0.493 0.186 0.241
O55 0.639 0.497 0.922
O56 0.849 0.354 0.924
O57 0.507 0.143 0.924
O58 0.637 0.145 0.427
O59 0.488 0.356 0.425
O60 0.860 0.500 0.427
O61 0.367 0.511 0.079
O62 0.147 0.647 0.079
O63 0.508 0.871 0.080
O64 0.360 0.866 0.577
O65 0.482 0.636 0.574
O66 0.134 0.493 0.576
O67 0.313 0.836 0.256
O68 0.534 0.690 0.258
O69 0.176 0.476 0.259
O70 0.301 0.479 0.754
O71 0.156 0.694 0.752
O72 0.515 0.835 0.754

=====

(9)
A geometry-optimized SrZn11 structure, computed with PBE.

* total energy: -1.472 eV/atom
* DFT formation energy: -0.176 eV per atom

Cell lengths 8.374, 8.374, 8.374 Å; angles 99.78, 99.78, 131.32 degrees
Sites, in units of the cell vectors:
Sr1 0.000 0.000 0.000
Sr2 0.250 0.750 0.500
Zn1 0.067 0.651 0.828
Zn2 0.822 0.238 0.172
Zn3 0.750 0.250 0.500
Zn4 0.500 0.500 0.000
Zn5 0.625 0.375 0.750
Zn6 0.625 0.375 0.250
Zn7 0.125 0.375 0.750
Zn8 0.625 0.875 0.250
Zn9 0.822 0.651 0.584
Zn10 0.901 0.817 0.328
Zn11 0.488 0.572 0.672
Zn12 0.067 0.238 0.416
Zn13 0.762 0.933 0.584
Zn14 0.349 0.178 0.416
Zn15 0.428 0.512 0.328
Zn16 0.183 0.099 0.672
Zn17 0.428 0.099 0.916
Zn18 0.349 0.933 0.172
Zn19 0.762 0.178 0.828
Zn20 0.183 0.512 0.084
Zn21 0.488 0.817 0.916
Zn22 0.901 0.572 0.084

=====

(10)
A geometry-optimized CsIn3O5 structure, computed with PBE.

* total energy: -5.307 eV/atom
* corrected total energy (MP2020 scheme): -5.6889 eV/atom
* DFT formation energy: -1.923 eV per atom

Cell lengths 3.401, 10.297, 16.794 Å; angles 90.00, 90.00, 90.00 degrees
Sites, in units of the cell vectors:
Cs1 0.750 0.530 0.121
Cs2 0.250 0.970 0.621
Cs3 0.750 0.030 0.379
Cs4 0.250 0.470 0.879
In1 0.750 0.180 0.181
In2 0.750 0.680 0.319
In3 0.250 0.644 0.489
In4 0.250 0.144 0.011
In5 0.250 0.890 0.164
In6 0.750 0.356 0.511
In7 0.250 0.320 0.681
In8 0.250 0.820 0.819
In9 0.750 0.610 0.664
In10 0.750 0.110 0.836
In11 0.750 0.856 0.989
In12 0.250 0.390 0.336
O1 0.250 0.695 0.717
O2 0.250 0.269 0.113
O3 0.250 0.779 0.055
O4 0.750 0.231 0.613
O5 0.250 0.977 0.924
O6 0.750 0.221 0.945
O7 0.750 0.305 0.283
O8 0.250 0.566 0.271
O9 0.750 0.805 0.217
O10 0.750 0.434 0.729
O11 0.250 0.769 0.387
O12 0.750 0.934 0.771
O13 0.250 0.477 0.576
O14 0.250 0.195 0.783
O15 0.750 0.731 0.887
O16 0.750 0.023 0.076
O17 0.250 0.279 0.445
O18 0.750 0.523 0.424
O19 0.750 0.721 0.555
O20 0.250 0.066 0.229

=====

(11)
A geometry-optimized Zr5Si4 structure, computed with PBE.

* total energy: -8.065 eV/atom
* corrected total energy (MP2020 scheme): -8.0331 eV/atom
* DFT formation energy: -0.873 eV per atom

Cell lengths 7.160, 7.160, 13.066 Å; angles 90.00, 90.00, 90.00 degrees
Sites, in units of the cell vectors:
Zr1 0.354 0.501 0.377
Zr2 0.854 0.999 0.373
Zr3 0.001 0.146 0.127
Zr4 0.999 0.854 0.627
Zr5 0.646 0.499 0.877
Zr6 0.501 0.354 0.623
Zr7 0.499 0.646 0.123
Zr8 0.146 0.001 0.873
Zr9 0.998 0.649 0.036
Zr10 0.002 0.351 0.536
Zr11 0.649 0.998 0.964
Zr12 0.149 0.502 0.786
Zr13 0.851 0.498 0.286
Zr14 0.502 0.149 0.214
Zr15 0.498 0.851 0.714
Zr16 0.351 0.002 0.464
Zr17 0.676 0.676 0.500
Zr18 0.824 0.176 0.750
Zr19 0.176 0.824 0.250
Zr20 0.324 0.324 0.000
Si1 0.051 0.699 0.438
Si2 0.949 0.301 0.938
Si3 0.699 0.051 0.562
Si4 0.199 0.449 0.188
Si5 0.801 0.551 0.688
Si6 0.449 0.199 0.812
Si7 0.551 0.801 0.312
Si8 0.301 0.949 0.062
Si9 0.853 0.795 0.823
Si10 0.147 0.205 0.323
Si11 0.795 0.853 0.177
Si12 0.295 0.647 0.573
Si13 0.705 0.353 0.073
Si14 0.647 0.295 0.427
Si15 0.353 0.705 0.927
Si16 0.205 0.147 0.677

=====

(12)
A geometry-optimized NdHSe structure, computed with PBE.

* total energy: -5.309 eV/atom
* corrected total energy (MP2020 scheme): -5.4661 eV/atom
* DFT formation energy: -1.581 eV per atom

Cell lengths 4.015, 4.015, 8.009 Å; angles 90.00, 90.00, 120.00 degrees
Sites, in units of the cell vectors:
Nd1 0.333 0.667 0.250
Nd2 0.667 0.333 0.750
H1 0.333 0.667 0.750
H2 0.667 0.333 0.250
Se1 0.000 0.000 0.000
Se2 0.000 0.000 0.500

=====

Which value of total energy does entry 9 give? -1.472 eV/atom

=====

What is the formula in the fifth record? Ba2Y2CuPtO8

=====

Please write out number 3 again, unchanged.
A geometry-optimized Ca2GaSn structure, computed with PBE.

* total energy: -3.345 eV/atom
* DFT formation energy: -0.583 eV per atom

Cell lengths 6.150, 6.150, 4.379 Å; angles 90.00, 90.00, 135.87 degrees
Sites, in units of the cell vectors:
Ca1 0.361 0.639 0.000
Ca2 0.637 0.363 0.500
Ga1 0.077 0.923 0.000
Sn1 0.925 0.075 0.500